[1]
This record from the Materials Project describes a geometry-optimized TiBi2O5 structure. The functional is PBE.

Output
- distance to the lowest polymorph of the same formula (meV per atom) = 0.0
- theoretical density (g cm⁻³) = 7.1
- formation energy from the elements (eV/atom) = -2.372

a b c (Å): 8.456 8.456 5.611
angles (deg): 90.00 90.00 140.68
Fractional coordinates of all 16 atoms:
O  0.081  0.081  0.459
O  0.445  0.255  0.845
O  0.734  0.230  0.507
O  0.255  0.445  0.845
O  0.919  0.919  0.959
O  0.555  0.745  0.345
O  0.266  0.770  0.007
O  0.745  0.555  0.345
O  0.230  0.734  0.507
O  0.770  0.266  0.007
Bi  0.877  0.536  0.727
Bi  0.123  0.464  0.227
Bi  0.536  0.877  0.727
Bi  0.464  0.123  0.227
Ti  0.190  0.190  0.774
Ti  0.810  0.810  0.274



[2]
This record from the Materials Project describes a geometry-optimized Bi2P3O12 structure. The functional is PBE.

Output
- distance to the lowest polymorph of the same formula (meV per atom) = 21.5
- total moment (μB/atom) = 0.00
- theoretical density (g cm⁻³) = 4.4
- formation energy from the elements (eV/atom) = -2.140

a b c (Å): 9.121 9.141 15.474
angles (deg): 54.49 90.00 90.00
Fractional coordinates of all 68 atoms:
O  0.885  0.231  0.841
O  0.133  0.520  0.076
O  0.091  0.169  0.465
O  0.633  0.480  0.424
O  0.928  0.893  0.966
O  0.604  0.896  0.173
O  0.489  0.605  0.215
O  0.867  0.480  0.924
O  0.366  0.393  0.071
O  0.385  0.769  0.659
O  0.989  0.395  0.285
O  0.134  0.393  0.571
O  0.615  0.231  0.341
O  0.742  0.036  0.812
O  0.634  0.607  0.929
O  0.367  0.520  0.576
O  0.909  0.831  0.535
O  0.267  0.333  0.306
O  0.428  0.107  0.534
O  0.896  0.896  0.673
O  0.820  0.270  0.563
O  0.572  0.893  0.466
O  0.011  0.605  0.715
O  0.981  0.945  0.218
O  0.519  0.945  0.718
O  0.733  0.667  0.694
O  0.242  0.964  0.688
O  0.072  0.107  0.034
O  0.258  0.964  0.188
O  0.396  0.104  0.827
O  0.481  0.055  0.282
O  0.233  0.333  0.806
O  0.767  0.667  0.194
O  0.511  0.395  0.785
O  0.308  0.523  0.411
O  0.591  0.831  0.035
O  0.680  0.270  0.063
O  0.192  0.523  0.911
O  0.758  0.036  0.312
O  0.115  0.769  0.159
O  0.104  0.104  0.327
O  0.866  0.607  0.429
O  0.409  0.169  0.965
O  0.019  0.055  0.782
O  0.180  0.730  0.437
O  0.692  0.477  0.589
O  0.320  0.730  0.937
O  0.808  0.477  0.089
P  0.393  0.951  0.648
P  0.612  0.749  0.153
P  0.248  0.541  0.498
P  0.607  0.049  0.352
P  0.252  0.541  0.998
P  0.748  0.459  0.002
P  0.388  0.251  0.847
P  0.752  0.459  0.502
P  0.893  0.049  0.852
P  0.112  0.251  0.347
P  0.107  0.951  0.148
P  0.888  0.749  0.653
Bi  0.958  0.629  0.122
Bi  0.962  0.869  0.381
Bi  0.458  0.371  0.378
Bi  0.042  0.371  0.878
Bi  0.038  0.131  0.619
Bi  0.538  0.869  0.881
Bi  0.542  0.629  0.622
Bi  0.462  0.131  0.119



[3]
This record from the Materials Project describes a geometry-optimized W3I8 structure. The functional is PBE.

Output
- total moment (μB/atom) = 0.00
- theoretical density (g cm⁻³) = 5.6
- formation energy from the elements (eV/atom) = -0.393

a b c (Å): 14.463 15.888 16.707
angles (deg): 75.44 90.00 90.00
Fractional coordinates of all 88 atoms:
I  0.220  0.239  0.815
I  0.497  0.144  0.899
I  0.807  0.509  0.246
I  0.042  0.357  0.959
I  0.059  0.633  0.287
I  0.307  0.491  0.254
I  0.741  0.262  0.417
I  0.084  0.115  0.155
I  0.973  0.126  0.894
I  0.007  0.606  0.554
I  0.780  0.761  0.185
I  0.473  0.874  0.606
I  0.700  0.754  0.961
I  0.200  0.246  0.539
I  0.163  0.995  0.740
I  0.837  0.005  0.260
I  0.720  0.761  0.685
I  0.503  0.856  0.101
I  0.997  0.856  0.601
I  0.825  0.256  0.190
I  0.259  0.738  0.583
I  0.958  0.643  0.041
I  0.745  0.010  0.983
I  0.416  0.115  0.655
I  0.193  0.491  0.754
I  0.559  0.367  0.213
I  0.941  0.367  0.713
I  0.255  0.990  0.017
I  0.993  0.394  0.446
I  0.395  0.878  0.832
I  0.175  0.744  0.810
I  0.573  0.611  0.279
I  0.729  0.501  0.019
I  0.759  0.262  0.917
I  0.073  0.389  0.221
I  0.507  0.394  0.946
I  0.003  0.144  0.399
I  0.427  0.389  0.721
I  0.771  0.501  0.519
I  0.300  0.246  0.039
I  0.605  0.122  0.168
I  0.441  0.633  0.787
I  0.458  0.357  0.459
I  0.542  0.643  0.541
I  0.800  0.754  0.461
I  0.245  0.990  0.517
I  0.755  0.010  0.483
I  0.280  0.239  0.315
I  0.241  0.738  0.083
I  0.675  0.256  0.690
I  0.895  0.122  0.668
I  0.916  0.885  0.845
I  0.693  0.509  0.746
I  0.325  0.744  0.310
I  0.337  0.995  0.240
I  0.584  0.885  0.345
I  0.229  0.499  0.481
I  0.105  0.878  0.332
I  0.663  0.005  0.760
I  0.027  0.874  0.106
I  0.271  0.499  0.981
I  0.527  0.126  0.394
I  0.493  0.606  0.054
I  0.927  0.611  0.779
W  0.643  0.540  0.156
W  0.808  0.135  0.342
W  0.624  0.699  0.119
W  0.830  0.046  0.828
W  0.665  0.207  0.285
W  0.776  0.633  0.096
W  0.692  0.135  0.842
W  0.335  0.793  0.715
W  0.308  0.865  0.158
W  0.724  0.633  0.596
W  0.124  0.301  0.381
W  0.143  0.460  0.344
W  0.670  0.046  0.328
W  0.276  0.367  0.404
W  0.170  0.954  0.172
W  0.330  0.954  0.672
W  0.165  0.793  0.215
W  0.224  0.367  0.904
W  0.857  0.540  0.656
W  0.835  0.207  0.785
W  0.357  0.460  0.844
W  0.876  0.699  0.619
W  0.192  0.865  0.658
W  0.376  0.301  0.881



Please write out number 1 again, unchanged.
This record from the Materials Project describes a geometry-optimized TiBi2O5 structure. The functional is PBE.

Output
- distance to the lowest polymorph of the same formula (meV per atom) = 0.0
- theoretical density (g cm⁻³) = 7.1
- formation energy from the elements (eV/atom) = -2.372

a b c (Å): 8.456 8.456 5.611
angles (deg): 90.00 90.00 140.68
Fractional coordinates of all 16 atoms:
O  0.081  0.081  0.459
O  0.445  0.255  0.845
O  0.734  0.230  0.507
O  0.255  0.445  0.845
O  0.919  0.919  0.959
O  0.555  0.745  0.345
O  0.266  0.770  0.007
O  0.745  0.555  0.345
O  0.230  0.734  0.507
O  0.770  0.266  0.007
Bi  0.877  0.536  0.727
Bi  0.123  0.464  0.227
Bi  0.536  0.877  0.727
Bi  0.464  0.123  0.227
Ti  0.190  0.190  0.774
Ti  0.810  0.810  0.274